<i>
! Pm3Ho (GGA-PBE, optimized geometry); values from VASP
&SYSTEM
  ibrav = 0, nat = 4, ntyp = 2
/
ATOMIC_SPECIES
Pm 145.00 Pm.upf
Ho 164.93 Ho.upf
ATOMIC_POSITIONS angstrom
Pm -1.9280 -1.5274 -2.6730
Pm -3.5024 0.8509 -0.4517
Pm -4.4139 -2.6612 -0.2792
Ho 0.0000 0.0000 0.0000
CELL_PARAMETERS angstrom
-2.8395 -5.0394 -2.5005
-5.9882 -0.2829 1.9421
3.3973 4.6458 -2.5662
! Calculated volume = 135 Å³ per cell
! Crystal system = tetragonal

---

<ii>
! Pm3Ho (GGA-PBE, optimized geometry); values from VASP
&SYSTEM
  ibrav = 0, nat = 8, ntyp = 2
/
ATOMIC_SPECIES
Pm 145.00 Pm.upf
Ho 164.93 Ho.upf
ATOMIC_POSITIONS angstrom
Pm -2.5840 0.0471 -0.0424
Pm -5.0992 1.6640 -2.1040
Pm -5.1725 -1.9374 -1.6399
Pm -5.9335 3.8869 0.6572
Pm -3.4183 2.2701 2.7188
Pm -3.3450 5.8714 2.2547
Ho -6.0159 0.2665 1.1175
Ho -2.5016 3.6676 -0.5027
CELL_PARAMETERS angstrom
0.1474 7.2397 -0.9330
-5.2035 -3.9894 -3.2114
-3.4613 0.6838 4.7592
! Calculated volume = 273 Å³ per cell
! Crystal system = hexagonal

---

Most stable structure: <i>

---

<i>
! SmHo3 (GGA-PBE, optimized geometry); values from VASP
&SYSTEM
  ibrav = 0, nat = 8, ntyp = 2
/
ATOMIC_SPECIES
Sm 150.36 Sm.upf
Ho 164.93 Ho.upf
ATOMIC_POSITIONS angstrom
Sm 3.6098 2.0841 4.2956
Sm 3.6098 -2.0841 1.4319
Ho 1.7915 1.0343 1.4319
Ho 5.4280 1.0343 1.4319
Ho 3.6098 4.1836 1.4319
Ho 5.4280 -1.0343 4.2956
Ho 1.7915 -1.0343 4.2956
Ho 3.6098 -4.1836 4.2956
CELL_PARAMETERS angstrom
3.6098 -6.2523 0.0000
3.6098 6.2523 0.0000
0.0000 0.0000 5.7274
! Calculated volume = 259 Å³ per cell
! Crystal system = hexagonal

---

<ii>
! SmHo3 (GGA-PBE, optimized geometry); values from VASP
&SYSTEM
  ibrav = 0, nat = 4, ntyp = 2
/
ATOMIC_SPECIES
Sm 150.36 Sm.upf
Ho 164.93 Ho.upf
ATOMIC_POSITIONS angstrom
Sm 0.0000 0.0000 0.0000
Ho -2.2044 -2.7175 0.6275
Ho 0.0479 -1.6390 3.1542
Ho 0.5620 -4.7594 1.5305
CELL_PARAMETERS angstrom
-1.6903 -5.8379 -0.9963
2.8144 -3.6810 4.0572
-3.2805 5.1623 0.7208
! Calculated volume = 127 Å³ per cell
! Crystal system = tetragonal

---

Most stable structure: <i>

---

<i>
! K4La6OsI14 (GGA-PBE, optimized geometry); values from VASP
&SYSTEM
  ibrav = 0, nat = 50, ntyp = 4
/
ATOMIC_SPECIES
K 39.10 K.upf
La 138.91 La.upf
Os 190.23 Os.upf
I 126.90 I.upf
ATOMIC_POSITIONS angstrom
K 6.7668 1.7010 5.6050
K 3.3647 8.4304 16.8149
K 3.3647 8.4304 5.6050
K 8.4304 6.7668 16.8149
K 1.7010 3.3647 16.8149
K 1.7010 3.3647 5.6050
K 8.4304 6.7668 5.6050
K 6.7668 1.7010 16.8149
La 5.0657 5.0657 2.8830
La 4.1456 2.3461 0.0000
La 0.0000 0.0000 14.0930
La 0.9202 7.4118 11.2100
La 9.2113 2.7197 11.2100
La 7.4118 9.2113 11.2100
La 2.3461 5.9859 0.0000
La 2.7197 0.9202 11.2100
La 5.9859 7.7854 0.0000
La 5.0657 5.0657 19.5369
La 7.7854 4.1456 0.0000
La 0.0000 0.0000 8.3270
Os 0.0000 0.0000 11.2100
Os 5.0657 5.0657 0.0000
I 5.0657 5.0657 6.2157
I 7.0233 9.0911 7.9299
I 6.1061 8.1739 3.2801
I 4.0254 1.9575 3.2801
I 3.1082 1.0403 14.4900
I 8.1077 6.0117 11.2100
I 1.9575 6.1061 19.1398
I 4.0254 1.9575 19.1398
I 0.0000 0.0000 4.9943
I 1.0403 7.0233 7.9299
I 0.9459 3.0420 0.0000
I 9.1855 7.0895 0.0000
I 9.0911 3.1082 7.9299
I 7.0233 9.0911 14.4900
I 8.1739 4.0254 19.1398
I 3.0420 9.1855 0.0000
I 6.0117 2.0238 11.2100
I 7.0895 0.9459 0.0000
I 2.0238 4.1198 11.2100
I 1.9575 6.1061 3.2801
I 0.0000 0.0000 17.4256
I 9.0911 3.1082 14.4900
I 3.1082 1.0403 7.9299
I 1.0403 7.0233 14.4900
I 4.1198 8.1077 11.2100
I 8.1739 4.0254 3.2801
I 6.1061 8.1739 19.1398
I 5.0657 5.0657 16.2042
CELL_PARAMETERS angstrom
10.1315 0.0000 0.0000
0.0000 10.1315 0.0000
0.0000 0.0000 22.4199
! Size of the total moment = 4.04 Bohr magnetons per cell
! Calculated volume = 2301 Å³ per cell
! Crystal system = tetragonal

---

<ii>
! K4La6OsI14 (GGA-PBE, optimized geometry); values from VASP
&SYSTEM
  ibrav = 0, nat = 100, ntyp = 4
/
ATOMIC_SPECIES
K 39.10 K.upf
La 138.91 La.upf
Os 190.23 Os.upf
I 126.90 I.upf
ATOMIC_POSITIONS angstrom
K -14.9123 -0.5883 7.6659
K -13.3326 16.3490 10.6475
K -14.1286 5.7536 7.1479
K -9.2071 8.4250 8.0377
K -8.2679 -5.8352 3.8004
K -15.7190 2.4662 2.9575
K -11.1611 5.9576 2.4524
K -25.6056 9.7763 8.3121
K -10.1507 1.8373 -7.8987
K -11.3830 -2.0315 -3.9410
K -20.7730 11.0005 11.0134
K -7.0357 -1.9664 -0.1573
K -11.9679 9.0121 -2.2560
K -21.2696 5.2786 1.4136
K -18.1652 15.1248 7.9461
K -16.3480 7.9500 2.3034
La -9.5328 3.0198 8.0011
La -12.3606 -3.4352 2.1534
La -13.6518 4.3050 -2.7357
La -18.4226 4.8780 9.6010
La -4.8064 2.5120 -4.2858
La -12.6935 11.4693 6.0885
La -10.6183 0.2872 5.2128
La -19.6478 13.6933 3.3662
La -7.6747 2.9133 4.4016
La -5.9072 2.9210 -0.4075
La -8.6681 3.2688 -3.3188
La -15.1214 -3.0873 -0.7579
La -15.5618 11.8706 14.7759
La -6.7801 -1.0212 4.9079
La -14.6641 12.6571 2.7831
La -21.8672 10.8321 5.1290
La -12.8091 7.8296 11.6827
La -16.6804 8.6004 12.6604
La -13.5881 15.4037 5.5822
La -14.4610 11.4616 10.8976
La -20.3931 6.0658 6.2957
La -10.8354 11.3627 2.4890
La -7.5591 6.5530 -1.1926
La -16.5955 1.6790 -1.9246
Os -14.1783 9.8395 13.2212
Os -8.1492 0.9887 6.4464
Os -12.2190 13.3939 4.0437
Os -6.1900 4.5431 -2.7311
I -13.5317 -5.0791 -2.8099
I -9.1911 8.9488 0.6413
I -5.7092 0.9463 2.4945
I -18.5923 10.7402 14.2323
I -17.7516 11.7488 1.3681
I -4.4097 0.3806 -1.8247
I -11.6732 -5.1866 4.8043
I -20.8231 16.0857 5.2635
I -15.4652 10.3112 4.8860
I -17.0610 -0.6995 0.6223
I -15.3937 -1.0036 -3.5765
I -5.1481 -3.4170 3.0740
I -17.4948 7.0380 7.3559
I -11.7878 1.8368 -4.0783
I -7.4928 0.8764 -5.2161
I -14.6590 13.4363 7.9956
I -10.5643 5.2134 -1.3207
I -7.1348 5.1827 1.7713
I -14.8245 6.7400 -0.8917
I -9.2288 4.8343 -6.1120
I -8.6317 1.1993 -0.8318
I -16.5281 15.1253 4.1257
I -21.5949 8.7484 7.9476
I -23.4569 12.8239 7.1810
I -6.0290 8.8507 6.7748
I -19.9276 8.4443 3.7488
I -12.8507 6.6510 -4.8386
I -11.7365 13.1833 11.3219
I -11.1771 5.4338 9.8488
I -10.4486 -5.5749 0.5815
I -23.0527 5.4007 4.5488
I -11.1361 8.9528 4.6934
I -11.5461 -1.8728 7.4579
I -12.2703 -1.5516 -0.4759
I -17.3678 10.3519 10.0095
I -18.1252 3.6947 0.1494
I -18.8634 4.0501 4.2217
I 0.0000 0.0000 0.0000
I -15.4093 5.8954 11.0995
I -9.2322 5.4298 5.7968
I -15.9585 14.0020 12.3148
I -24.7183 9.2964 4.8470
I -8.3102 -3.3189 -3.0595
I -9.9073 11.9485 7.6930
I -9.3151 -1.8941 2.9963
I -13.9359 2.3441 -0.1777
I -19.7259 7.0594 11.8175
I -16.5081 2.7808 7.9759
I -13.6316 -0.7301 3.7143
I -10.4609 2.4341 2.7971
I -19.0870 12.1278 6.1594
I -14.3392 5.5318 3.7153
I -13.4914 10.2221 0.9391
I -13.2334 9.1999 8.7189
I -12.5329 2.3844 6.8379
I -15.2201 17.7996 7.4161
CELL_PARAMETERS angstrom
-7.9477 2.5796 -10.4427
-8.6727 -9.2173 4.3237
-12.0580 17.7015 13.5496
! Size of the total moment = 7.99 Bohr magnetons per cell
! Calculated volume = 4533 Å³ per cell
! Crystal system = tetragonal

---

Most stable structure: <i>

---

<i>
! K2PtI4O2 (GGA-PBE, optimized geometry); values from VASP
&SYSTEM
  ibrav = 0, nat = 36, ntyp = 4
/
ATOMIC_SPECIES
K 39.10 K.upf
Pt 195.08 Pt.upf
I 126.90 I.upf
O 16.00 O.upf
ATOMIC_POSITIONS angstrom
K 7.1822 2.3828 9.2619
K 1.5417 1.5085 4.5954
K 4.0780 6.2100 11.5062
K 9.9358 5.3280 2.3165
K 4.1685 5.3574 4.5931
K 9.7899 6.1824 9.3322
K 7.2619 1.5164 2.3662
K 1.3790 2.4430 11.5850
Pt 5.6300 7.7386 6.9268
Pt 11.4036 3.8736 6.9291
Pt 5.6286 3.8397 13.8551
Pt 0.0207 0.0040 0.0147
I 5.0027 1.7479 5.1035
I 10.6620 2.1414 8.7665
I 6.4581 5.5537 1.8388
I 0.6224 6.0351 12.0426
I 6.3393 6.0039 8.7611
I 0.6951 5.5911 5.0928
I 4.8661 2.1384 12.0041
I 10.7372 1.7192 1.8633
I 7.6679 6.6636 5.6532
I 1.9252 4.9792 8.2453
I 3.6847 2.7644 1.2938
I 9.3912 1.0567 12.6030
I 3.6619 1.0497 8.2013
I 9.3932 2.7773 5.6378
I 7.6433 4.9507 12.5714
I 1.9842 6.6889 1.2948
O 9.0409 3.4842 3.9006
O 3.2961 0.2867 9.8995
O 2.3405 7.3955 3.0126
O 7.9902 4.2857 10.8260
O 2.2419 4.2884 9.9906
O 8.0027 7.3650 3.9180
O 9.0594 0.3568 10.8730
O 3.3361 3.4811 3.0139
CELL_PARAMETERS angstrom
11.4707 0.0000 0.0000
-0.0755 7.7496 0.0000
-0.0584 -0.0169 13.8716
! Size of the total moment = 0.01 Bohr magnetons per cell
! Calculated volume = 1233 Å³ per cell
! Crystal system = triclinic

---

<ii>
! K2PtI4O2 (GGA-PBE, optimized geometry); values from VASP
&SYSTEM
  ibrav = 0, nat = 36, ntyp = 4
/
ATOMIC_SPECIES
K 39.10 K.upf
Pt 195.08 Pt.upf
I 126.90 I.upf
O 16.00 O.upf
ATOMIC_POSITIONS angstrom
K -1.9272 6.2560 4.9087
K -3.0400 7.7929 12.5343
K -4.4463 1.8336 6.6931
K 5.2881 5.6881 8.8997
K -0.1481 4.5179 11.6270
K 0.9648 2.9809 4.0014
K 2.3710 8.9402 9.8427
K -7.3634 5.0857 7.6361
Pt 0.0636 1.8947 9.0049
Pt 3.2710 5.9100 4.2638
Pt -5.4099 2.9691 3.2671
Pt 0.0000 0.0000 0.0000
I -0.9924 7.8155 9.6530
I 1.0761 6.8066 3.1238
I 3.2435 5.6549 11.7836
I -7.4400 1.2458 8.4792
I -1.0829 2.9583 6.8828
I -3.1514 3.9672 13.4120
I -5.3188 5.1189 4.7522
I 5.3647 9.5280 8.0566
I 1.9914 3.5700 8.3545
I -4.3841 3.5149 10.2334
I 0.7510 8.2518 13.4756
I -2.5352 6.1985 1.0005
I -4.0667 7.2038 8.1812
I 2.3088 7.2589 6.3024
I -2.8263 2.5221 3.0602
I 0.4599 4.5754 15.5353
O 3.2941 7.0914 7.9329
O -5.6364 7.3142 7.1199
O -0.0814 3.3194 14.1681
O -1.7064 3.8577 3.8735
O -5.3694 3.6825 8.6029
O 3.5611 3.4596 9.4159
O -1.9939 7.4544 2.3677
O -0.3688 6.9162 12.6622
CELL_PARAMETERS angstrom
-2.2025 6.9844 -1.4739
-8.6173 -1.0461 8.0081
8.7445 4.8356 10.0016
! Size of the total moment = 0.00 Bohr magnetons per cell
! Calculated volume = 1247 Å³ per cell
! Crystal system = triclinic

---

Most stable structure: <ii>